Sr3UTe4O14: relaxed, GGA-PBE.

Its total magnetic moment is 0.00 μB/f.u. As for the formation energy: -2526 meV/atom. Its calculated volume is 18.11 A^3/atom.

The structure in POSCAR format:
```
Sr3UTe4O14
1.0
10.5104 -2.8686 0.0000
10.5104 2.8686 0.0000
-0.8714 0.0000 13.2149
Sr U Te O
6 2 8 28
Direct
0.2061 0.6725 0.4419
0.2215 0.7785 0.7500
0.3275 0.7939 0.0581
0.6725 0.2061 0.9419
0.7785 0.2215 0.2500
0.7939 0.3275 0.5581
0.0000 0.5000 0.5000
0.5000 0.0000 0.0000
0.0381 0.6132 0.8365
0.1244 0.6744 0.1273
0.3256 0.8756 0.3727
0.3868 0.9619 0.6635
0.6132 0.0381 0.3365
0.6744 0.1244 0.6273
0.8756 0.3256 0.8727
0.9619 0.3868 0.1635
0.0344 0.0459 0.9137
0.0418 0.7769 0.2650
0.0459 0.0344 0.4137
0.1471 0.1957 0.5591
0.1540 0.4618 0.6037
0.1957 0.1471 0.0591
0.2231 0.9582 0.2350
0.2339 0.3287 0.9043
0.2400 0.5746 0.8652
0.3287 0.2339 0.4043
0.4254 0.7600 0.6348
0.4360 0.4772 0.1158
0.4618 0.1540 0.1037
0.4772 0.4360 0.6158
0.5228 0.5640 0.3842
0.5382 0.8460 0.8963
0.5640 0.5228 0.8842
0.5746 0.2400 0.3651
0.6713 0.7661 0.5957
0.7600 0.4254 0.1348
0.7661 0.6713 0.0957
0.7769 0.0418 0.7650
0.8043 0.8529 0.9409
0.8460 0.5382 0.3963
0.8529 0.8043 0.4409
0.9541 0.9656 0.5863
0.9582 0.2231 0.7350
0.9656 0.9541 0.0863
```

HfIr: relaxed, GGA-PBE.

As for the formation energy: -906 meV/atom. Its calculated volume is 17.72 A^3/atom.

The structure in POSCAR format:
```
HfIr
1.0
3.2850 0.0000 0.0000
0.0000 3.2850 0.0000
0.0000 0.0000 3.2850
Hf Ir
1 1
Direct
0.0000 0.0000 0.0000
0.5000 0.5000 0.5000
```

CaI: relaxed, GGA-PBE.

Its total magnetic moment is 0.87 μB/f.u. As for the formation energy: -1190 meV/atom. Its calculated volume is 34.08 A^3/atom.

The structure in POSCAR format:
```
CaI
1.0
4.1468 0.0000 0.0000
-2.0734 3.5913 0.0000
0.0000 0.0000 4.5762
Ca I
1 1
Direct
0.0000 0.0000 0.0000
0.6667 0.3333 0.5000
```

Ta6CdBr16O18: relaxed, GGA-PBE.

Its total magnetic moment is 4.02 μB/f.u. As for the formation energy: -573 meV/atom. Its calculated volume is 28.30 A^3/atom.

The structure in POSCAR format:
```
Ta6CdBr16O18
1.0
0.0000 10.5080 10.5080
10.5080 0.0000 10.5080
10.5080 10.5080 0.0000
Ta Cd Br O
12 2 32 36
Direct
0.0184 0.0184 0.7316
0.0184 0.7316 0.0184
0.0184 0.7316 0.7316
0.2684 0.2684 0.9816
0.2684 0.9816 0.2684
0.2684 0.9816 0.9816
0.7316 0.0184 0.0184
0.7316 0.0184 0.7316
0.7316 0.7316 0.0184
0.9816 0.2684 0.2684
0.9816 0.2684 0.9816
0.9816 0.9816 0.2684
0.3750 0.3750 0.3750
0.6250 0.6250 0.6250
0.1235 0.6312 0.8726
0.1235 0.8726 0.6312
0.1235 0.8726 0.8726
0.1274 0.1274 0.3688
0.1274 0.1274 0.8765
0.1274 0.3688 0.1274
0.1274 0.3688 0.8765
0.1274 0.8765 0.1274
0.1274 0.8765 0.3688
0.3022 0.3022 0.3022
0.3022 0.3022 0.5935
0.3022 0.5935 0.3022
0.3688 0.1274 0.1274
0.3688 0.1274 0.8765
0.3688 0.8765 0.1274
0.4065 0.6978 0.6978
0.5935 0.3022 0.3022
0.6312 0.1235 0.8726
0.6312 0.8726 0.1235
0.6312 0.8726 0.8726
0.6978 0.4065 0.6978
0.6978 0.6978 0.4065
0.6978 0.6978 0.6978
0.8726 0.1235 0.6312
0.8726 0.1235 0.8726
0.8726 0.6312 0.1235
0.8726 0.6312 0.8726
0.8726 0.8726 0.1235
0.8726 0.8726 0.6312
0.8765 0.1274 0.1274
0.8765 0.1274 0.3688
0.8765 0.3688 0.1274
0.0253 0.4404 0.4404
0.0253 0.4404 0.5939
0.0253 0.5939 0.4404
0.0999 0.0999 0.6501
0.0999 0.6501 0.0999
0.0999 0.6501 0.6501
0.3499 0.3499 0.9001
0.3499 0.9001 0.3499
0.3499 0.9001 0.9001
0.4061 0.5596 0.5596
0.4061 0.5596 0.9747
0.4061 0.9747 0.5596
0.4404 0.0253 0.4404
0.4404 0.0253 0.5939
0.4404 0.4404 0.0253
0.4404 0.4404 0.5939
0.4404 0.5939 0.0253
0.4404 0.5939 0.4404
0.5596 0.4061 0.5596
0.5596 0.4061 0.9747
0.5596 0.5596 0.4061
0.5596 0.5596 0.9747
0.5596 0.9747 0.4061
0.5596 0.9747 0.5596
0.5939 0.0253 0.4404
0.5939 0.4404 0.0253
0.5939 0.4404 0.4404
0.6501 0.0999 0.0999
0.6501 0.0999 0.6501
0.6501 0.6501 0.0999
0.9001 0.3499 0.3499
0.9001 0.3499 0.9001
0.9001 0.9001 0.3499
0.9747 0.4061 0.5596
0.9747 0.5596 0.4061
0.9747 0.5596 0.5596
```

Na6Nb4Si9Ge4S3O48: relaxed, GGA-PBE.

Its total magnetic moment is 0.00 μB/f.u. As for the formation energy: -2630 meV/atom. Its calculated volume is 13.45 A^3/atom.

The structure in POSCAR format:
```
Na6Nb4Si9Ge4S3O48
1.0
8.7848 0.0000 0.0000
0.0153 15.1577 0.0000
0.1008 0.2480 22.4211
Na Nb Si Ge S O
18 12 27 12 9 144
Direct
0.0000 0.0000 0.0000
0.0004 0.3271 0.8275
0.0086 0.6622 0.1603
0.0095 0.6646 0.6614
0.0135 0.0011 0.4967
0.1364 0.4972 0.7470
0.1450 0.8289 0.0811
0.3688 0.3293 0.5817
0.3764 0.9953 0.2420
0.4994 0.5029 0.9985
0.5026 0.1631 0.1599
0.5042 0.1592 0.6636
0.5120 0.5036 0.4974
0.5118 0.8261 0.3237
0.5146 0.8310 0.8309
0.6386 0.3292 0.0805
0.8744 0.8289 0.5806
0.9980 0.3315 0.3265
0.0055 0.3264 0.4738
0.0123 0.3232 0.1868
0.0136 0.3284 0.9735
0.0147 0.9968 0.3545
0.4974 0.4984 0.8574
0.4995 0.8267 0.4728
0.5009 0.8239 0.6875
0.5197 0.4999 0.3446
0.5214 0.8278 0.9779
0.5242 0.1617 0.8023
0.9888 0.6621 0.3008
0.9932 0.9993 0.8455
0.1363 0.5277 0.9125
0.1451 0.4760 0.5802
0.1555 0.8544 0.2415
0.1574 0.1356 0.2452
0.1567 0.1777 0.5789
0.2087 0.8301 0.5790
0.2209 0.4961 0.2460
0.2925 0.9973 0.7459
0.3052 0.3305 0.0785
0.3525 0.6389 0.7484
0.3586 0.6780 0.0789
0.3672 0.3558 0.7425
0.3699 0.9760 0.0798
0.3710 0.0235 0.4097
0.6377 0.6445 0.2358
0.6438 0.3492 0.2417
0.6465 0.0213 0.9159
0.6484 0.3016 0.9158
0.6485 0.6780 0.5811
0.7331 0.6643 0.9124
0.7775 0.1625 0.4123
0.7995 0.8291 0.0838
0.8636 0.5236 0.4158
0.8648 0.1792 0.0809
0.8665 0.8020 0.4157
0.8697 0.8490 0.7422
0.8755 0.1436 0.7361
0.0025 0.6675 0.8093
0.0044 0.6621 0.0165
0.0251 0.9954 0.1375
0.0275 0.9971 0.6454
0.0373 0.3232 0.6803
0.4787 0.5047 0.6433
0.4875 0.4983 0.1446
0.4943 0.8208 0.1750
0.4967 0.1521 0.5115
0.5156 0.1623 0.3052
0.5223 0.1612 0.0219
0.9923 0.6618 0.5214
0.1504 0.8068 0.9117
0.2237 0.1609 0.9129
0.2887 0.6606 0.4131
0.3657 0.3065 0.4126
0.6496 0.9782 0.5779
0.7175 0.3289 0.5806
0.7212 0.9966 0.2449
0.7917 0.4956 0.7433
0.8632 0.4774 0.0787
0.0686 0.4265 0.9186
0.0689 0.4289 0.6406
0.0708 0.5673 0.8496
0.0725 0.8965 0.1830
0.0731 0.0839 0.5862
0.0743 0.0955 0.3045
0.0753 0.5735 0.5711
0.0784 0.8959 0.9064
0.0793 0.2272 0.5209
0.0800 0.2336 0.2405
0.0804 0.7573 0.2521
0.0828 0.7694 0.9675
0.0960 0.9164 0.5857
0.1047 0.7422 0.5713
0.1097 0.4113 0.2391
0.1158 0.5834 0.2535
0.1165 0.5856 0.9719
0.1202 0.0832 0.9082
0.1206 0.4082 0.5242
0.1219 0.2419 0.9164
0.1240 0.7533 0.8578
0.1235 0.9168 0.3004
0.1311 0.0736 0.1876
0.1443 0.2476 0.6345
0.1682 0.6477 0.7552
0.1715 0.6745 0.0694
0.1782 0.3498 0.7377
0.1829 0.9809 0.0841
0.1860 0.0107 0.4067
0.1875 0.9807 0.8054
0.1889 0.3167 0.1353
0.1926 0.3476 0.0206
0.1956 0.0161 0.6863
0.1957 0.3150 0.4172
0.2009 0.6489 0.4682
0.2021 0.6760 0.3589
0.3114 0.1490 0.9675
0.3116 0.1760 0.8582
0.3166 0.8156 0.9158
0.3192 0.5152 0.1867
0.3209 0.8474 0.5208
0.3235 0.5127 0.9077
0.3246 0.8166 0.6354
0.3256 0.4804 0.3060
0.3341 0.4790 0.5854
0.3419 0.8488 0.2363
0.3426 0.1457 0.2541
0.3481 0.1775 0.5687
0.3700 0.7465 0.1353
0.3711 0.5786 0.6885
0.3840 0.0799 0.4707
0.3896 0.2528 0.3590
0.3907 0.4186 0.7999
0.3913 0.7413 0.4170
0.3909 0.9095 0.0228
0.3925 0.5829 0.4090
0.3985 0.0841 0.7528
0.4033 0.9122 0.7381
0.4081 0.2422 0.0711
0.4172 0.4162 0.0856
0.4288 0.2676 0.4688
0.4321 0.3954 0.4088
0.4328 0.7349 0.7413
0.4358 0.2575 0.7495
0.4379 0.7266 0.0206
0.4393 0.5954 0.8044
0.4407 0.0741 0.0706
0.4437 0.0670 0.3497
0.4441 0.3985 0.6810
0.4441 0.9245 0.4180
0.4437 0.9309 0.1404
0.4447 0.5837 0.0862
0.5662 0.2522 0.2526
0.5655 0.7427 0.2346
0.5703 0.2610 0.9756
0.5703 0.9237 0.9183
0.5706 0.3955 0.1827
0.5707 0.7280 0.5228
0.5727 0.6003 0.3002
0.5738 0.5798 0.5904
0.5752 0.4000 0.9057
0.5771 0.0678 0.5725
0.5776 0.0654 0.8544
0.5813 0.9389 0.6318
0.6155 0.2506 0.5740
0.6161 0.7484 0.9176
0.6181 0.0781 0.2494
0.6178 0.2449 0.8555
0.6178 0.5742 0.1834
0.6195 0.9195 0.2420
0.6196 0.0840 0.9725
0.6204 0.4087 0.5830
0.6198 0.4117 0.3019
0.6218 0.9225 0.5244
0.6244 0.5763 0.9049
0.6239 0.7469 0.6359
0.6760 0.1503 0.4741
0.6770 0.5099 0.4089
0.6778 0.1831 0.3530
0.6802 0.1779 0.0747
0.6809 0.8147 0.4222
0.6840 0.8101 0.1391
0.6851 0.8425 0.7362
0.6907 0.1516 0.7467
0.6963 0.4832 0.0821
0.6972 0.5106 0.6895
0.6966 0.8469 0.0229
0.7009 0.4825 0.7983
0.8124 0.0125 0.1911
0.8121 0.9852 0.2998
0.8132 0.3140 0.6332
0.8128 0.3420 0.5253
0.8159 0.9850 0.5814
0.8231 0.6507 0.2469
0.8284 0.3423 0.2374
0.8317 0.6826 0.8517
0.8333 0.3149 0.9209
0.8333 0.6484 0.9723
0.8330 0.6761 0.5747
0.8345 0.0104 0.9078
0.8882 0.0767 0.4064
0.8878 0.2487 0.1358
0.8906 0.4212 0.0248
0.8916 0.2485 0.4211
0.8924 0.4164 0.7387
0.8927 0.9127 0.8016
0.8943 0.5749 0.7475
0.8938 0.5835 0.4735
0.8945 0.7439 0.3562
0.8967 0.0751 0.6825
0.9100 0.9155 0.0884
0.9112 0.7427 0.0708
0.9305 0.4367 0.1322
0.9349 0.5655 0.0733
0.9364 0.9007 0.4064
0.9374 0.4238 0.4227
0.9381 0.5634 0.3547
0.9408 0.2308 0.0224
0.9422 0.0839 0.0895
0.9425 0.7615 0.4761
0.9424 0.8955 0.6825
0.9431 0.1016 0.7996
0.9426 0.2447 0.7307
0.9465 0.7522 0.7526
```

Cs2TlAgBr6: relaxed, GGA-PBE.

As for the formation energy: -1356 meV/atom. Its calculated volume is 36.29 A^3/atom.

The structure in POSCAR format:
```
Cs2TlAgBr6
1.0
0.0000 5.6613 5.6613
5.6613 0.0000 5.6613
5.6613 5.6613 0.0000
Cs Tl Ag Br
2 1 1 6
Direct
0.2500 0.2500 0.2500
0.7500 0.7500 0.7500
0.0000 0.0000 0.0000
0.5000 0.5000 0.5000
0.2519 0.2519 0.7481
0.2519 0.7481 0.2519
0.2519 0.7481 0.7481
0.7481 0.2519 0.2519
0.7481 0.2519 0.7481
0.7481 0.7481 0.2519
```